# SrSnP

A relaxed SrSnP crystal (PBE-GGA, the Materials Project database).

Properties
- theoretical density (kg/m3) = 4519
- energy of formation from the pure elements (kJ/mol of formula units) = -215
- raw total energy (eV per cell) = -26.685

Geometry as CIF:
```
data_SrSnP
_chemical_formula_sum 'Sr2 Sn2 P2'
_space_group_name_H-M_alt 'P 4/n m m'
_space_group_IT_number 129
_cell_length_a 4.3947
_cell_length_b 4.3947
_cell_length_c 9.0301
_cell_angle_alpha 90.00
_cell_angle_beta 90.00
_cell_angle_gamma 90.00
loop_
_space_group_symop_operation_xyz
'x,y,z'
'-x,-y,-z'
'-y+1/2,x,z'
'y+1/2,-x,-z'
'-x+1/2,-y+1/2,z'
'x+1/2,y+1/2,-z'
'y,-x+1/2,z'
'-y,x+1/2,-z'
'x+1/2,-y,-z'
'-x+1/2,y,z'
'-y,-x,-z'
'y,x,z'
'-x,y+1/2,-z'
'x,-y+1/2,z'
'y+1/2,x+1/2,-z'
'-y+1/2,-x+1/2,z'
loop_
_atom_site_label
_atom_site_type_symbol
_atom_site_fract_x
_atom_site_fract_y
_atom_site_fract_z
_atom_site_occupancy
Sr1 Sr 0.2500 0.2500 0.1666 1
Sn1 Sn 0.2500 0.2500 0.5527 1
P1 P 0.2500 0.2500 0.8275 1
```